## Ca3Al2N4 (PBE-GGA)

Data for a relaxed structure of Ca3Al2N4.

Computed properties:
E_form: -1.29 eV per atom
Excess energy over the best structure of this formula in the dataset: 2 meV per atom
Corrected total energy (MP2020 scheme): -233.88 eV per cell
Uncorrected energy: -228.10 eV for the cell shown

Structure (extended XYZ):
```
36
Lattice="-1.383 1.471 -5.470 7.114 -5.525 -3.284 -2.978 -8.975 -1.661" Properties=species:S:1:pos:R:3 pbc="T T T"
Al -0.289 -6.413 -7.178
Al 1.817 -4.071 -5.546
Al -0.900 -3.443 -3.118
Al 0.936 -8.958 -4.869
Al 5.076 -6.516 -8.366
Al 3.653 -9.585 -7.297
Al 3.042 -6.615 -3.236
Al -2.323 -6.512 -2.048
N 0.518 -3.591 -4.271
N 3.017 -9.935 -9.035
N 1.991 -8.293 -3.372
N -0.264 -3.094 -1.380
N -1.973 -5.097 -3.341
N 0.762 -4.736 -7.043
N -0.660 -7.379 -1.885
N -0.756 0.189 -4.348
N 3.509 -13.218 -6.067
N -0.016 -10.489 -4.299
N 2.235 -9.438 -6.143
N 4.726 -7.932 -7.074
N 2.769 -2.539 -6.116
N -0.122 -7.617 -5.740
N 2.875 -5.411 -4.675
N 3.413 -5.649 -8.530
Ca 2.491 -6.918 -6.543
Ca -1.639 -9.403 -2.697
Ca 1.267 -1.323 -4.367
Ca 4.392 -3.625 -7.717
Ca -2.582 -6.979 -5.079
Ca -1.337 -3.867 -5.972
Ca 0.262 -6.111 -3.872
Ca 2.137 -3.668 -2.275
Ca 5.336 -6.049 -5.336
Ca 4.090 -9.161 -4.443
Ca 0.616 -9.360 -8.140
Ca 1.486 -11.706 -6.048
```